# 1
Here is crystalline V11NiO18 at its relaxed geometry from the Materials Project database. Energies are from r²SCAN.

Geometry as CIF:
```
data_V11NiO18
_chemical_formula_sum 'V11 Ni1 O18'
_cell_length_a 5.459
_cell_length_b 8.627
_cell_length_c 7.399
_cell_angle_alpha 67.27
_cell_angle_beta 97.77
_cell_angle_gamma 75.07
_space_group_name_H-M_alt 'P 1'
_space_group_IT_number 1
_space_group_name_Hall 'P 1'
loop_
_atom_site_label
_atom_site_fract_x
_atom_site_fract_y
_atom_site_fract_z
V1 0.309 0.000 0.353
V2 0.694 0.003 0.149
V3 0.637 0.330 0.186
V4 0.307 0.002 0.848
V5 0.698 0.995 0.652
V6 0.643 0.337 0.677
V7 0.368 0.666 0.319
V8 0.967 0.664 0.016
V9 0.017 0.337 0.980
V10 0.978 0.664 0.515
V11 0.357 0.666 0.818
Ni1 0.034 0.332 0.485
O1 0.390 0.208 0.146
O2 0.298 0.096 0.548
O3 0.938 0.126 0.187
O4 0.374 0.563 0.125
O5 0.041 0.228 0.796
O6 0.721 0.227 0.480
O7 0.933 0.436 0.182
O8 0.607 0.107 0.850
O9 0.279 0.461 0.523
O10 0.731 0.544 0.481
O11 0.394 0.900 0.145
O12 0.057 0.564 0.809
O13 0.272 0.772 0.518
O14 0.959 0.771 0.209
O15 0.618 0.439 0.876
O16 0.713 0.896 0.455
O17 0.063 0.874 0.815
O18 0.600 0.791 0.856
```

## Properties
* electronic total energy: -350.8 eV for the cell shown

# 2
Here is crystalline Hf2TlC at its relaxed geometry from the Materials Project database. Energies are from r²SCAN.

Geometry as CIF:
```
data_Hf2TlC
_chemical_formula_sum 'Hf4 Tl2 C2'
_cell_length_a 3.329
_cell_length_b 3.329
_cell_length_c 14.728
_cell_angle_alpha 90.00
_cell_angle_beta 90.00
_cell_angle_gamma 120.00
_space_group_name_H-M_alt 'P 1'
_space_group_IT_number 1
_space_group_name_Hall 'P 1'
loop_
_atom_site_label
_atom_site_fract_x
_atom_site_fract_y
_atom_site_fract_z
Hf1 0.333 0.667 0.418
Hf2 0.667 0.333 0.582
Hf3 0.667 0.333 0.918
Hf4 0.333 0.667 0.082
Tl1 0.333 0.667 0.750
Tl2 0.667 0.333 0.250
C1 0.000 0.000 0.500
C2 0.000 0.000 0.000
```

## Properties
* electronic total energy: -312.8 eV for the cell shown

# 3
Here is crystalline Bi at its relaxed geometry from the Materials Project database. Energies are from r²SCAN.

Geometry as CIF:
```
data_Bi
_chemical_formula_sum 'Bi2'
_cell_length_a 4.868
_cell_length_b 4.868
_cell_length_c 4.868
_cell_angle_alpha 55.56
_cell_angle_beta 55.56
_cell_angle_gamma 55.56
_space_group_name_H-M_alt 'P 1'
_space_group_IT_number 1
_space_group_name_Hall 'P 1'
loop_
_atom_site_label
_atom_site_fract_x
_atom_site_fract_y
_atom_site_fract_z
Bi1 0.232 0.232 0.232
Bi2 0.768 0.768 0.768
```

## Properties
* electronic total energy: -117.0 eV for the cell shown

# 4
Here is crystalline TbFe2B2 at its relaxed geometry from the Materials Project database. Energies are from r²SCAN.

Geometry as CIF:
```
data_TbFe2B2
_chemical_formula_sum 'Tb1 Fe2 B2'
_cell_length_a 3.461
_cell_length_b 3.461
_cell_length_c 5.576
_cell_angle_alpha 108.08
_cell_angle_beta 108.08
_cell_angle_gamma 90.00
_space_group_name_H-M_alt 'P 1'
_space_group_IT_number 1
_space_group_name_Hall 'P 1'
loop_
_atom_site_label
_atom_site_fract_x
_atom_site_fract_y
_atom_site_fract_z
Tb1 0.000 0.000 0.000
Fe1 0.250 0.750 0.500
Fe2 0.750 0.250 0.500
B1 0.636 0.636 0.272
B2 0.364 0.364 0.728
```

## Properties
* electronic total energy: -76.4 eV for the cell shown

Q: electronic total energy of number 2 (Hf2TlC)?
A: -312.8 eV for the cell shown

Q: Which value of electronic total energy does entry 1 give?
A: -350.8 eV for the cell shown

Please write out number 3 again, unchanged.
Here is crystalline Bi at its relaxed geometry from the Materials Project database. Energies are from r²SCAN.

Geometry as CIF:
```
data_Bi
_chemical_formula_sum 'Bi2'
_cell_length_a 4.868
_cell_length_b 4.868
_cell_length_c 4.868
_cell_angle_alpha 55.56
_cell_angle_beta 55.56
_cell_angle_gamma 55.56
_space_group_name_H-M_alt 'P 1'
_space_group_IT_number 1
_space_group_name_Hall 'P 1'
loop_
_atom_site_label
_atom_site_fract_x
_atom_site_fract_y
_atom_site_fract_z
Bi1 0.232 0.232 0.232
Bi2 0.768 0.768 0.768
```

## Properties
* electronic total energy: -117.0 eV for the cell shown

Q: Among the records above, which one has the lowest electronic total energy?
A: V11NiO18